# PBE Na3Ca3ZrPS5O24, relaxed
# * calculated volume: 1757 Å³ per cell
# * calculated formation energy: -2.57 eV/atom
data_Na3Ca3ZrPS5O24
_chemical_formula_sum 'Na9 Ca9 Zr3 P3 S15 O72'
_cell_length_a 9.175
_cell_length_b 9.221
_cell_length_c 23.921
_cell_angle_alpha 89.91
_cell_angle_beta 89.96
_cell_angle_gamma 60.26
_space_group_name_H-M_alt 'P 1'
_space_group_IT_number 1
loop_
_space_group_symop_operation_xyz
'x,y,z'
loop_
_atom_site_label
_atom_site_type_symbol
_atom_site_fract_x
_atom_site_fract_y
_atom_site_fract_z
Na1 Na 0.000 0.000 0.000
Na2 Na 0.008 0.296 0.413
Na3 Na 0.304 0.663 0.574
Na4 Na 0.323 0.648 0.080
Na5 Na 0.625 0.017 0.249
Na6 Na 0.640 0.015 0.736
Na7 Na 0.670 0.670 0.333
Na8 Na 0.937 0.666 0.823
Na9 Na 0.971 0.335 0.918
Ca1 Ca 0.299 0.673 0.434
Ca2 Ca 0.320 0.659 0.932
Ca3 Ca 0.625 0.010 0.895
Ca4 Ca 0.632 0.013 0.399
Ca5 Ca 0.633 0.000 0.099
Ca6 Ca 0.644 0.000 0.599
Ca7 Ca 0.970 0.328 0.762
Ca8 Ca 0.974 0.345 0.069
Ca9 Ca 0.986 0.321 0.264
Zr1 Zr 0.301 0.677 0.232
Zr2 Zr 0.311 0.661 0.722
Zr3 Zr 0.963 0.345 0.568
P1 P 0.311 0.961 0.332
P2 P 0.673 0.337 0.666
P3 P 0.974 0.630 0.669
S1 S 0.008 0.670 0.329
S2 S 0.018 0.954 0.830
S3 S 0.265 0.036 0.665
S4 S 0.277 0.343 0.166
S5 S 0.306 0.379 0.828
S6 S 0.329 0.303 0.501
S7 S 0.331 0.004 0.998
S8 S 0.595 0.379 0.329
S9 S 0.601 0.669 0.828
S10 S 0.645 0.297 0.999
S11 S 0.647 0.693 0.498
S12 S 0.665 0.636 0.169
S13 S 0.937 0.704 0.995
S14 S 0.940 0.012 0.500
S15 S 0.977 0.025 0.163
O1 O 0.004 0.092 0.110
O2 O 0.104 0.677 0.279
O3 O 0.105 0.651 0.380
O4 O 0.105 0.696 0.994
O5 O 0.105 0.879 0.884
O6 O 0.111 0.864 0.497
O7 O 0.118 0.845 0.782
O8 O 0.133 0.854 0.172
O9 O 0.143 0.641 0.671
O10 O 0.150 0.368 0.824
O11 O 0.156 0.122 0.615
O12 O 0.157 0.318 0.509
O13 O 0.158 0.136 0.327
O14 O 0.158 0.154 0.000
O15 O 0.181 0.368 0.114
O16 O 0.192 0.325 0.216
O17 O 0.193 0.130 0.716
O18 O 0.274 0.867 0.669
O19 O 0.291 0.475 0.879
O20 O 0.294 0.498 0.173
O21 O 0.302 0.872 0.384
O22 O 0.304 0.474 0.497
O23 O 0.307 0.854 0.996
O24 O 0.316 0.474 0.777
O25 O 0.316 0.848 0.279
O26 O 0.399 0.208 0.448
O27 O 0.414 0.016 0.947
O28 O 0.428 0.991 0.048
O29 O 0.433 0.218 0.549
O30 O 0.435 0.007 0.657
O31 O 0.448 0.196 0.163
O32 O 0.457 0.212 0.828
O33 O 0.481 0.959 0.328
O34 O 0.488 0.471 0.279
O35 O 0.492 0.652 0.174
O36 O 0.498 0.468 0.996
O37 O 0.498 0.509 0.670
O38 O 0.499 0.675 0.778
O39 O 0.503 0.664 0.496
O40 O 0.515 0.473 0.380
O41 O 0.521 0.658 0.879
O42 O 0.616 0.209 0.329
O43 O 0.618 0.822 0.827
O44 O 0.629 0.801 0.546
O45 O 0.631 0.212 0.049
O46 O 0.637 0.194 0.658
O47 O 0.641 0.807 0.164
O48 O 0.660 0.199 0.947
O49 O 0.673 0.759 0.444
O50 O 0.742 0.535 0.118
O51 O 0.759 0.373 0.323
O52 O 0.761 0.557 0.220
O53 O 0.768 0.359 0.614
O54 O 0.772 0.315 0.718
O55 O 0.774 0.522 0.826
O56 O 0.805 0.305 0.001
O57 O 0.805 0.523 0.507
O58 O 0.826 0.804 0.660
O59 O 0.831 0.999 0.161
O60 O 0.842 0.826 0.330
O61 O 0.844 0.036 0.448
O62 O 0.846 0.780 0.942
O63 O 0.846 0.810 0.043
O64 O 0.853 0.957 0.829
O65 O 0.856 0.993 0.549
O66 O 0.958 0.167 0.508
O67 O 0.960 0.132 0.212
O68 O 0.960 0.533 0.999
O69 O 0.960 0.556 0.724
O70 O 0.978 0.526 0.324
O71 O 0.995 0.123 0.826
O72 O 0.998 0.508 0.618

# PBE Na5Ca2Zr2P5SO24, relaxed
# * calculated volume: 1692 Å³ per cell
# * calculated formation energy: -2.91 eV/atom
data_Na5Ca2Zr2P5SO24
_chemical_formula_sum 'Na15 Ca6 Zr6 P15 S3 O72'
_cell_length_a 9.223
_cell_length_b 9.225
_cell_length_c 22.954
_cell_angle_alpha 89.84
_cell_angle_beta 89.90
_cell_angle_gamma 60.05
_space_group_name_H-M_alt 'P 1'
_space_group_IT_number 1
loop_
_space_group_symop_operation_xyz
'x,y,z'
loop_
_atom_site_label
_atom_site_type_symbol
_atom_site_fract_x
_atom_site_fract_y
_atom_site_fract_z
Na1 Na 0.000 0.000 0.000
Na2 Na 0.000 0.026 0.503
Na3 Na 0.307 0.701 0.910
Na4 Na 0.322 0.979 0.419
Na5 Na 0.324 0.338 0.667
Na6 Na 0.326 0.336 0.151
Na7 Na 0.364 0.640 0.236
Na8 Na 0.647 0.041 0.584
Na9 Na 0.662 0.670 0.828
Na10 Na 0.667 0.685 0.324
Na11 Na 0.694 0.979 0.909
Na12 Na 0.708 0.323 0.418
Na13 Na 0.947 0.707 0.408
Na14 Na 0.978 0.365 0.238
Na15 Na 0.979 0.317 0.910
Ca1 Ca 0.320 0.339 0.018
Ca2 Ca 0.322 0.334 0.523
Ca3 Ca 0.656 0.661 0.486
Ca4 Ca 0.662 0.672 0.180
Ca5 Ca 0.987 0.003 0.345
Ca6 Ca 0.992 0.002 0.840
Zr1 Zr 0.328 0.332 0.812
Zr2 Zr 0.332 0.320 0.309
Zr3 Zr 0.652 0.663 0.683
Zr4 Zr 0.658 0.658 0.985
Zr5 Zr 0.994 0.001 0.148
Zr6 Zr 0.998 0.007 0.656
P1 P 0.002 0.694 0.252
P2 P 0.025 0.628 0.915
P3 P 0.031 0.337 0.413
P4 P 0.288 0.002 0.251
P5 P 0.296 0.692 0.752
P6 P 0.334 0.032 0.916
P7 P 0.352 0.676 0.087
P8 P 0.355 0.962 0.582
P9 P 0.620 0.338 0.916
P10 P 0.622 0.037 0.418
P11 P 0.670 0.356 0.583
P12 P 0.685 0.000 0.749
P13 P 0.691 0.299 0.251
P14 P 0.958 0.358 0.086
P15 P 0.994 0.311 0.752
S1 S 0.328 0.624 0.413
S2 S 0.671 0.962 0.081
S3 S 0.953 0.681 0.585
O1 O 0.012 0.179 0.413
O2 O 0.013 0.183 0.704
O3 O 0.018 0.802 0.202
O4 O 0.118 0.510 0.861
O5 O 0.121 0.534 0.586
O6 O 0.128 0.342 0.356
O7 O 0.132 0.556 0.968
O8 O 0.134 0.327 0.466
O9 O 0.134 0.328 0.079
O10 O 0.157 0.319 0.752
O11 O 0.163 0.026 0.201
O12 O 0.171 0.800 0.703
O13 O 0.174 0.523 0.251
O14 O 0.177 0.842 0.086
O15 O 0.179 0.984 0.595
O16 O 0.181 0.796 0.411
O17 O 0.186 0.001 0.907
O18 O 0.219 0.985 0.309
O19 O 0.242 0.780 0.810
O20 O 0.293 0.171 0.250
O21 O 0.302 0.140 0.969
O22 O 0.309 0.518 0.752
O23 O 0.314 0.540 0.465
O24 O 0.329 0.525 0.080
O25 O 0.335 0.528 0.359
O26 O 0.352 0.129 0.588
O27 O 0.359 0.124 0.861
O28 O 0.411 0.883 0.521
O29 O 0.442 0.668 0.142
O30 O 0.455 0.692 0.032
O31 O 0.461 0.852 0.243
O32 O 0.474 0.665 0.737
O33 O 0.483 0.842 0.628
O34 O 0.485 0.634 0.413
O35 O 0.503 0.858 0.921
O36 O 0.504 0.365 0.861
O37 O 0.508 0.148 0.365
O38 O 0.511 0.164 0.752
O39 O 0.514 0.313 0.251
O40 O 0.514 0.338 0.589
O41 O 0.529 0.132 0.076
O42 O 0.544 0.131 0.475
O43 O 0.545 0.305 0.969
O44 O 0.624 0.508 0.921
O45 O 0.626 0.867 0.414
O46 O 0.656 0.882 0.133
O47 O 0.658 0.850 0.735
O48 O 0.663 0.477 0.243
O49 O 0.669 0.475 0.631
O50 O 0.685 0.859 0.027
O51 O 0.690 0.415 0.522
O52 O 0.777 0.968 0.807
O53 O 0.780 0.233 0.309
O54 O 0.787 0.022 0.698
O55 O 0.794 0.179 0.200
O56 O 0.800 0.012 0.413
O57 O 0.800 0.193 0.907
O58 O 0.827 0.176 0.593
O59 O 0.832 0.967 0.083
O60 O 0.840 0.464 0.032
O61 O 0.844 0.486 0.737
O62 O 0.851 0.631 0.920
O63 O 0.851 0.670 0.632
O64 O 0.857 0.498 0.411
O65 O 0.860 0.656 0.245
O66 O 0.867 0.702 0.528
O67 O 0.880 0.450 0.142
O68 O 0.958 0.187 0.086
O69 O 0.961 0.254 0.810
O70 O 0.962 0.838 0.593
O71 O 0.984 0.777 0.311
O72 O 0.991 0.808 0.906

# PBE Na3CaZr3P5SO24, relaxed
# * calculated volume: 1655 Å³ per cell
# * calculated formation energy: -2.99 eV/atom
data_Na3CaZr3P5SO24
_chemical_formula_sum 'Na9 Ca3 Zr9 P15 S3 O72'
_cell_length_a 9.031
_cell_length_b 9.053
_cell_length_c 23.343
_cell_angle_alpha 90.04
_cell_angle_beta 90.06
_cell_angle_gamma 119.86
_space_group_name_H-M_alt 'P 1'
_space_group_IT_number 1
loop_
_space_group_symop_operation_xyz
'x,y,z'
loop_
_atom_site_label
_atom_site_type_symbol
_atom_site_fract_x
_atom_site_fract_y
_atom_site_fract_z
Na1 Na 0.000 0.000 0.000
Na2 Na 0.001 0.011 0.498
Na3 Na 0.310 0.651 0.329
Na4 Na 0.314 0.656 0.831
Na5 Na 0.619 0.993 0.243
Na6 Na 0.647 0.321 0.661
Na7 Na 0.659 0.333 0.159
Na8 Na 0.665 0.983 0.917
Na9 Na 0.952 0.658 0.578
Ca1 Ca 0.320 0.661 0.186
Ca2 Ca 0.650 0.328 0.518
Ca3 Ca 0.660 0.333 0.014
Zr1 Zr 0.001 0.000 0.351
Zr2 Zr 0.323 0.660 0.480
Zr3 Zr 0.329 0.669 0.980
Zr4 Zr 0.330 0.668 0.687
Zr5 Zr 0.661 0.338 0.813
Zr6 Zr 0.661 0.349 0.314
Zr7 Zr 0.988 0.000 0.147
Zr8 Zr 0.993 0.006 0.647
Zr9 Zr 0.999 0.000 0.848
P1 P 0.040 0.376 0.584
P2 P 0.286 0.293 0.749
P3 P 0.289 0.008 0.249
P4 P 0.323 0.953 0.584
P5 P 0.362 0.336 0.416
P6 P 0.363 0.038 0.915
P7 P 0.619 0.673 0.584
P8 P 0.625 0.963 0.085
P9 P 0.661 0.632 0.915
P10 P 0.701 0.003 0.750
P11 P 0.707 0.711 0.250
P12 P 0.958 0.335 0.914
P13 P 0.958 0.631 0.418
P14 P 0.987 0.287 0.252
P15 P 0.991 0.706 0.747
S1 S 0.033 0.672 0.082
S2 S 0.321 0.369 0.083
S3 S 0.658 0.036 0.414
O1 O 0.015 0.821 0.799
O2 O 0.025 0.198 0.589
O3 O 0.027 0.836 0.085
O4 O 0.112 0.653 0.134
O5 O 0.136 0.488 0.636
O6 O 0.137 0.496 0.922
O7 O 0.139 0.649 0.420
O8 O 0.140 0.463 0.249
O9 O 0.140 0.689 0.030
O10 O 0.149 0.463 0.529
O11 O 0.151 0.687 0.743
O12 O 0.151 0.958 0.589
O13 O 0.161 0.197 0.085
O14 O 0.174 0.206 0.801
O15 O 0.179 0.183 0.405
O16 O 0.179 0.991 0.302
O17 O 0.181 0.006 0.903
O18 O 0.199 0.027 0.195
O19 O 0.199 0.181 0.695
O20 O 0.297 0.840 0.530
O21 O 0.300 0.456 0.031
O22 O 0.305 0.471 0.743
O23 O 0.315 0.854 0.248
O24 O 0.333 0.856 0.637
O25 O 0.336 0.465 0.134
O26 O 0.349 0.501 0.419
O27 O 0.354 0.858 0.921
O28 O 0.430 0.138 0.969
O29 O 0.431 0.300 0.469
O30 O 0.464 0.309 0.756
O31 O 0.469 0.171 0.256
O32 O 0.470 0.347 0.077
O33 O 0.478 0.128 0.583
O34 O 0.478 0.357 0.362
O35 O 0.485 0.126 0.863
O36 O 0.498 0.654 0.921
O37 O 0.502 0.864 0.419
O38 O 0.510 0.658 0.637
O39 O 0.523 0.842 0.743
O40 O 0.527 0.879 0.139
O41 O 0.529 0.848 0.030
O42 O 0.530 0.691 0.529
O43 O 0.534 0.699 0.248
O44 O 0.634 0.516 0.862
O45 O 0.635 0.118 0.361
O46 O 0.648 0.521 0.583
O47 O 0.651 0.141 0.079
O48 O 0.683 0.163 0.756
O49 O 0.688 0.138 0.465
O50 O 0.693 0.533 0.255
O51 O 0.696 0.566 0.969
O52 O 0.784 0.978 0.804
O53 O 0.799 0.838 0.589
O54 O 0.802 0.821 0.302
O55 O 0.805 0.971 0.086
O56 O 0.809 0.010 0.406
O57 O 0.811 0.817 0.904
O58 O 0.815 0.025 0.697
O59 O 0.815 0.290 0.257
O60 O 0.816 0.797 0.195
O61 O 0.830 0.529 0.755
O62 O 0.846 0.287 0.967
O63 O 0.861 0.512 0.365
O64 O 0.861 0.528 0.077
O65 O 0.862 0.564 0.473
O66 O 0.868 0.362 0.861
O67 O 0.868 0.367 0.581
O68 O 0.961 0.174 0.197
O69 O 0.967 0.791 0.693
O70 O 0.979 0.176 0.902
O71 O 0.981 0.811 0.406
O72 O 0.999 0.189 0.303

- Look up the calculated formation energy of the first one.
  -2.57 eV/atom

- What is the calculated volume in the first record?
  1757 Å³ per cell